[1]
The following is a GGA-PBE calculation of crystalline CaCu2Sb2O8 at its relaxed geometry, from Materials Project.

**Formation energy from the elements**: -1.695 eV per atom
**Space group**: P2_1/c

Cell: 6.691 9.122 12.723 Å, 90.00 92.27 90.00°
Element x y z (fractional)
Ca: 0.125 0.166 0.465
Ca: 0.125 0.334 0.965
Ca: 0.875 0.666 0.035
Ca: 0.875 0.834 0.535
Cu: 0.243 0.681 0.849
Cu: 0.243 0.819 0.349
Cu: 0.392 0.056 0.871
Cu: 0.392 0.444 0.371
Cu: 0.608 0.556 0.629
Cu: 0.608 0.944 0.129
Cu: 0.757 0.181 0.651
Cu: 0.757 0.319 0.151
Sb: 0.091 0.041 0.161
Sb: 0.091 0.459 0.661
Sb: 0.401 0.585 0.142
Sb: 0.401 0.915 0.642
Sb: 0.599 0.085 0.358
Sb: 0.599 0.415 0.858
Sb: 0.909 0.541 0.339
Sb: 0.909 0.959 0.839
O: 0.017 0.238 0.123
O: 0.017 0.262 0.623
O: 0.106 0.097 0.890
O: 0.106 0.403 0.390
O: 0.136 0.020 0.310
O: 0.136 0.480 0.810
O: 0.194 0.574 0.036
O: 0.194 0.926 0.536
O: 0.312 0.621 0.285
O: 0.312 0.879 0.785
O: 0.334 0.505 0.594
O: 0.334 0.995 0.094
O: 0.428 0.236 0.404
O: 0.428 0.264 0.904
O: 0.489 0.114 0.645
O: 0.489 0.386 0.145
O: 0.511 0.614 0.855
O: 0.511 0.886 0.355
O: 0.572 0.736 0.096
O: 0.572 0.764 0.596
O: 0.666 0.005 0.906
O: 0.666 0.495 0.406
O: 0.688 0.121 0.215
O: 0.688 0.379 0.715
O: 0.806 0.074 0.464
O: 0.806 0.426 0.964
O: 0.864 0.520 0.190
O: 0.864 0.980 0.690
O: 0.894 0.597 0.610
O: 0.894 0.903 0.110
O: 0.983 0.738 0.377
O: 0.983 0.762 0.877



[2]
The following is a GGA-PBE calculation of crystalline CaCuSi4O10 at its relaxed geometry, from Materials Project.

**Formation energy from the elements**: -3.007 eV per atom
**Space group**: P4/ncc

Cell: 7.377 7.377 15.435 Å, 90.00 90.00 90.00°
Element x y z (fractional)
Ca: 0.250 0.750 0.000
Ca: 0.250 0.750 0.500
Ca: 0.750 0.250 0.000
Ca: 0.750 0.250 0.500
Cu: 0.250 0.250 0.084
Cu: 0.250 0.250 0.584
Cu: 0.750 0.750 0.416
Cu: 0.750 0.750 0.916
Si: 0.002 0.074 0.352
Si: 0.002 0.426 0.852
Si: 0.074 0.002 0.852
Si: 0.074 0.498 0.352
Si: 0.426 0.002 0.352
Si: 0.426 0.498 0.852
Si: 0.498 0.074 0.852
Si: 0.498 0.426 0.352
Si: 0.502 0.574 0.648
Si: 0.502 0.926 0.148
Si: 0.574 0.502 0.148
Si: 0.574 0.998 0.648
Si: 0.926 0.502 0.648
Si: 0.926 0.998 0.148
Si: 0.998 0.574 0.148
Si: 0.998 0.926 0.648
O: 0.003 0.707 0.627
O: 0.003 0.793 0.127
O: 0.005 0.149 0.083
O: 0.005 0.351 0.583
O: 0.040 0.540 0.250
O: 0.040 0.960 0.750
O: 0.149 0.005 0.583
O: 0.149 0.495 0.083
O: 0.207 0.503 0.873
O: 0.207 0.997 0.373
O: 0.293 0.503 0.373
O: 0.293 0.997 0.873
O: 0.351 0.005 0.083
O: 0.351 0.495 0.583
O: 0.460 0.540 0.750
O: 0.460 0.960 0.250
O: 0.495 0.149 0.583
O: 0.495 0.351 0.083
O: 0.497 0.707 0.127
O: 0.497 0.793 0.627
O: 0.503 0.207 0.373
O: 0.503 0.293 0.873
O: 0.505 0.649 0.917
O: 0.505 0.851 0.417
O: 0.540 0.040 0.750
O: 0.540 0.460 0.250
O: 0.649 0.505 0.417
O: 0.649 0.995 0.917
O: 0.707 0.003 0.127
O: 0.707 0.497 0.627
O: 0.793 0.003 0.627
O: 0.793 0.497 0.127
O: 0.851 0.505 0.917
O: 0.851 0.995 0.417
O: 0.960 0.040 0.250
O: 0.960 0.460 0.750
O: 0.995 0.649 0.417
O: 0.995 0.851 0.917
O: 0.997 0.207 0.873
O: 0.997 0.293 0.373



Listing spin magnetization for the structures above in their given order: 0.000; 0.066 μB per atom.
Listing raw total energy for the structures above in their given order: -5.738; -7.408 eV per atom.